Record 1
# Mg14BWO16

A relaxed structure of Mg14BWO16 (PBE with a Hubbard U, the Materials Project).

Cell lengths 8.646, 8.646, 4.287 Å; angles 90.00, 90.00, 90.00 degrees
Fractional positions:
O (0.000, 0.749, 0.000)
O (0.500, 0.000, 0.500)
O (0.751, 0.751, 0.500)
O (0.251, 0.000, 0.000)
O (0.500, 0.233, 0.000)
O (0.767, 0.500, 0.000)
O (0.249, 0.249, 0.500)
O (0.500, 0.767, 0.000)
O (0.249, 0.751, 0.500)
O (0.500, 0.500, 0.500)
O (0.233, 0.500, 0.000)
O (0.749, 0.000, 0.000)
O (0.000, 0.000, 0.500)
O (0.000, 0.251, 0.000)
O (0.000, 0.500, 0.500)
O (0.751, 0.249, 0.500)
Mg (0.256, 0.500, 0.500)
Mg (0.260, 0.740, 0.000)
Mg (0.500, 0.256, 0.500)
Mg (0.739, 0.000, 0.500)
Mg (0.500, 0.000, 0.000)
Mg (0.740, 0.740, 0.000)
Mg (0.000, 0.261, 0.500)
Mg (0.000, 0.500, 0.000)
Mg (0.260, 0.260, 0.000)
Mg (0.744, 0.500, 0.500)
Mg (0.261, 0.000, 0.500)
Mg (0.500, 0.744, 0.500)
Mg (0.000, 0.739, 0.500)
Mg (0.740, 0.260, 0.000)
W (0.000, 0.000, 0.000)
B (0.500, 0.500, 0.000)

Results
**Space group**: P4/mmm
**Uncorrected energy**: -190.46 eV for the cell shown
**Calculated volume**: 10.015 Å³/atom

***

Record 2
# Na4Mn3BO8

A relaxed structure of Na4Mn3BO8 (PBE with a Hubbard U, the Materials Project).

Cell lengths 2.776, 11.370, 5.592 Å; angles 83.66, 104.37, 90.00 degrees
Fractional positions:
O (0.394, 0.448, 0.789)
O (0.105, 0.295, 0.210)
O (0.588, 0.042, 0.175)
O (0.896, 0.188, 0.792)
O (0.104, 0.812, 0.208)
O (0.606, 0.552, 0.211)
O (0.412, 0.958, 0.825)
O (0.895, 0.705, 0.790)
Na (0.249, 0.120, 0.498)
Na (0.250, 0.627, 0.501)
Na (0.751, 0.880, 0.502)
Na (0.750, 0.373, 0.499)
Mn (0.501, 0.241, 0.002)
Mn (0.499, 0.759, 0.998)
Mn (0.000, 0.500, 0.000)
B (0.000, 0.000, 0.000)

Results
**Space group**: C2/m
**Uncorrected energy**: -98.20 eV for the cell shown
**Calculated volume**: 10.615 Å³/atom

***

Record 3
# Na3Mn2BO6

A relaxed structure of Na3Mn2BO6 (PBE with a Hubbard U, the Materials Project).

Cell lengths 5.560, 5.882, 9.433 Å; angles 78.56, 87.73, 74.92 degrees
Fractional positions:
O (0.248, 0.131, 0.289)
O (0.812, 0.702, 0.405)
O (0.248, 0.631, 0.289)
O (0.812, 0.202, 0.405)
O (0.794, 0.069, 0.061)
O (0.752, 0.369, 0.711)
O (0.206, 0.931, 0.939)
O (0.188, 0.798, 0.595)
O (0.188, 0.298, 0.595)
O (0.752, 0.869, 0.711)
O (0.206, 0.431, 0.939)
O (0.794, 0.569, 0.061)
Mn (0.964, 0.586, 0.649)
Mn (0.037, 0.414, 0.351)
Mn (0.036, 0.914, 0.351)
Mn (0.963, 0.086, 0.649)
B (0.000, 0.000, 0.000)
B (0.000, 0.500, 0.000)
Na (0.500, 0.000, 0.500)
Na (0.472, 0.654, 0.824)
Na (0.528, 0.846, 0.176)
Na (0.528, 0.346, 0.176)
Na (0.500, 0.500, 0.500)
Na (0.472, 0.154, 0.824)

Results
**Uncorrected energy**: -153.43 eV for the cell shown
**Calculated volume**: 12.164 Å³/atom

***

Record 4
# Na3MnB2O6

A relaxed structure of Na3MnB2O6 (PBE with a Hubbard U, the Materials Project).

Cell lengths 9.687, 5.580, 11.298 Å; angles 65.56, 90.00, 90.00 degrees
Fractional positions:
O (0.067, 0.322, 0.887)
O (0.980, 0.905, 0.352)
O (0.685, 0.127, 0.936)
O (0.933, 0.678, 0.113)
O (0.520, 0.905, 0.852)
O (0.815, 0.127, 0.436)
O (0.315, 0.873, 0.064)
O (0.686, 0.643, 0.148)
O (0.194, 0.672, 0.907)
O (0.314, 0.357, 0.852)
O (0.186, 0.357, 0.352)
O (0.814, 0.643, 0.648)
O (0.265, 0.107, 0.687)
O (0.567, 0.678, 0.613)
O (0.185, 0.873, 0.564)
O (0.433, 0.322, 0.387)
O (0.765, 0.893, 0.813)
O (0.480, 0.095, 0.148)
O (0.806, 0.328, 0.093)
O (0.235, 0.107, 0.187)
O (0.694, 0.328, 0.593)
O (0.735, 0.893, 0.313)
O (0.306, 0.672, 0.407)
O (0.020, 0.095, 0.648)
Na (0.468, 0.515, 0.142)
Na (0.532, 0.485, 0.858)
Na (0.344, 0.541, 0.626)
Na (0.513, 0.932, 0.381)
Na (0.013, 0.068, 0.119)
Na (0.987, 0.932, 0.881)
Na (0.968, 0.485, 0.358)
Na (0.032, 0.515, 0.642)
Na (0.656, 0.459, 0.374)
Na (0.844, 0.459, 0.874)
Na (0.487, 0.068, 0.619)
Na (0.156, 0.541, 0.126)
B (0.152, 0.027, 0.632)
B (0.310, 0.448, 0.382)
B (0.652, 0.973, 0.868)
B (0.848, 0.973, 0.368)
B (0.190, 0.448, 0.882)
B (0.348, 0.027, 0.132)
B (0.690, 0.552, 0.618)
B (0.810, 0.552, 0.118)
Mn (0.805, 0.011, 0.626)
Mn (0.195, 0.989, 0.374)
Mn (0.305, 0.989, 0.874)
Mn (0.695, 0.011, 0.126)

Results
**Space group**: P2_1/c
**Uncorrected energy**: -315.96 eV for the cell shown
**Calculated volume**: 11.581 Å³/atom

***

Record 5
# NaMnBO3

A relaxed structure of NaMnBO3 (PBE with a Hubbard U, the Materials Project).

Cell lengths 5.220, 8.988, 5.878 Å; angles 82.08, 94.79, 89.37 degrees
Fractional positions:
O (0.498, 0.690, 0.202)
O (0.275, 0.906, 0.294)
O (0.771, 0.590, 0.751)
O (0.228, 0.415, 0.247)
O (0.723, 0.099, 0.701)
O (0.501, 0.317, 0.793)
O (0.001, 0.817, 0.793)
O (0.271, 0.090, 0.751)
O (0.223, 0.599, 0.701)
O (0.998, 0.189, 0.202)
O (0.728, 0.915, 0.247)
O (0.775, 0.406, 0.294)
Na (0.506, 0.170, 0.250)
Na (0.999, 0.336, 0.749)
Na (0.006, 0.670, 0.250)
Na (0.499, 0.836, 0.749)
B (0.999, 0.669, 0.748)
B (0.499, 0.169, 0.748)
B (0.000, 0.337, 0.248)
B (0.500, 0.837, 0.248)
Mn (0.001, 0.003, 0.498)
Mn (0.000, 0.003, 0.998)
Mn (0.501, 0.503, 0.498)
Mn (0.500, 0.503, 0.998)

Results
**Uncorrected energy**: -170.31 eV for the cell shown
**Calculated volume**: 11.338 Å³/atom

***

Record 6
# Na3MnBPO7

A relaxed structure of Na3MnBPO7 (PBE with a Hubbard U, the Materials Project).

Cell lengths 5.208, 11.258, 11.257 Å; angles 102.82, 91.61, 88.39 degrees
Fractional positions:
Na (0.256, 0.377, 0.115)
Na (0.743, 0.123, 0.385)
Na (0.744, 0.365, 0.627)
Na (0.767, 0.665, 0.585)
Na (0.743, 0.865, 0.126)
Na (0.767, 0.165, 0.085)
Na (0.257, 0.635, 0.373)
Na (0.233, 0.335, 0.415)
Na (0.257, 0.135, 0.873)
Na (0.233, 0.835, 0.915)
Na (0.257, 0.876, 0.615)
Na (0.744, 0.623, 0.885)
Mn (0.781, 0.045, 0.706)
Mn (0.219, 0.456, 0.794)
Mn (0.218, 0.955, 0.294)
Mn (0.782, 0.545, 0.206)
O (0.694, 0.334, 0.416)
O (0.126, 0.591, 0.159)
O (0.963, 0.444, 0.306)
O (0.525, 0.965, 0.785)
O (0.428, 0.857, 0.393)
O (0.306, 0.166, 0.084)
O (0.037, 0.556, 0.694)
O (0.874, 0.409, 0.841)
O (0.126, 0.091, 0.659)
O (0.214, 0.126, 0.446)
O (0.786, 0.196, 0.876)
O (0.037, 0.056, 0.194)
O (0.475, 0.035, 0.215)
O (0.428, 0.357, 0.893)
O (0.572, 0.643, 0.108)
O (0.786, 0.874, 0.554)
O (0.694, 0.834, 0.916)
O (0.475, 0.535, 0.715)
O (0.214, 0.626, 0.946)
O (0.572, 0.143, 0.607)
O (0.525, 0.465, 0.285)
O (0.874, 0.909, 0.341)
O (0.214, 0.304, 0.624)
O (0.306, 0.666, 0.584)
O (0.963, 0.944, 0.806)
O (0.786, 0.374, 0.054)
O (0.214, 0.804, 0.124)
O (0.786, 0.696, 0.376)
P (0.277, 0.666, 0.084)
P (0.723, 0.834, 0.416)
P (0.277, 0.166, 0.584)
P (0.723, 0.334, 0.916)
B (0.275, 0.091, 0.159)
B (0.725, 0.909, 0.841)
B (0.275, 0.591, 0.659)
B (0.725, 0.409, 0.341)

Results
**Uncorrected energy**: -343.28 eV for the cell shown
**Calculated volume**: 12.367 Å³/atom

***

Record 7
# Na6Mn2B4PO16

A relaxed structure of Na6Mn2B4PO16 (PBE with a Hubbard U, the Materials Project).

Cell lengths 9.865, 9.865, 9.865 Å; angles 60.00, 60.00, 60.00 degrees
Fractional positions:
O (0.443, 0.763, 0.534)
O (0.186, 0.443, 0.186)
O (0.534, 0.259, 0.443)
O (0.716, 0.807, 0.487)
O (0.064, 0.807, 0.064)
O (0.534, 0.443, 0.763)
O (0.763, 0.443, 0.259)
O (0.763, 0.259, 0.534)
O (0.064, 0.064, 0.807)
O (0.259, 0.443, 0.534)
O (0.807, 0.716, 0.991)
O (0.991, 0.487, 0.807)
O (0.991, 0.716, 0.487)
O (0.763, 0.534, 0.443)
O (0.807, 0.991, 0.487)
O (0.991, 0.807, 0.716)
O (0.443, 0.186, 0.186)
O (0.443, 0.534, 0.259)
O (0.443, 0.259, 0.763)
O (0.259, 0.534, 0.763)
O (0.807, 0.487, 0.716)
O (0.186, 0.186, 0.443)
O (0.716, 0.991, 0.807)
O (0.534, 0.763, 0.259)
O (0.259, 0.763, 0.443)
O (0.807, 0.064, 0.064)
O (0.716, 0.487, 0.991)
O (0.487, 0.991, 0.716)
O (0.487, 0.716, 0.807)
O (0.487, 0.807, 0.991)
O (0.064, 0.064, 0.064)
O (0.186, 0.186, 0.186)
B (0.415, 0.756, 0.415)
B (0.415, 0.415, 0.756)
B (0.756, 0.415, 0.415)
B (0.835, 0.494, 0.835)
B (0.494, 0.835, 0.835)
B (0.835, 0.835, 0.835)
B (0.415, 0.415, 0.415)
B (0.835, 0.835, 0.494)
Na (0.035, 0.465, 0.035)
Na (0.465, 0.465, 0.035)
Na (0.035, 0.035, 0.465)
Na (0.215, 0.785, 0.785)
Na (0.465, 0.035, 0.465)
Na (0.465, 0.035, 0.035)
Na (0.215, 0.785, 0.215)
Na (0.035, 0.465, 0.465)
Na (0.785, 0.215, 0.215)
Na (0.215, 0.215, 0.785)
Na (0.785, 0.215, 0.785)
Na (0.785, 0.785, 0.215)
Mn (0.625, 0.125, 0.625)
Mn (0.625, 0.625, 0.125)
Mn (0.625, 0.625, 0.625)
Mn (0.125, 0.625, 0.625)
P (0.250, 0.250, 0.250)
P (0.000, 0.000, 0.000)

Results
**Space group**: Fd-3
**Uncorrected energy**: -384.27 eV for the cell shown
**Calculated volume**: 11.706 Å³/atom

***

Record 8
# Na2MnBPO7

A relaxed structure of Na2MnBPO7 (PBE with a Hubbard U, the Materials Project).

Cell lengths 6.395, 5.336, 9.103 Å; angles 87.81, 90.00, 90.00 degrees
Fractional positions:
P (0.250, 0.720, 0.433)
P (0.750, 0.280, 0.567)
Na (0.496, 0.238, 0.225)
Na (0.504, 0.762, 0.775)
Na (0.004, 0.238, 0.225)
Na (0.996, 0.762, 0.775)
Mn (0.250, 0.220, 0.655)
Mn (0.750, 0.780, 0.345)
O (0.250, 0.044, 0.846)
O (0.442, 0.792, 0.335)
O (0.942, 0.208, 0.665)
O (0.750, 0.697, 0.939)
O (0.250, 0.431, 0.469)
O (0.750, 0.956, 0.154)
O (0.250, 0.303, 0.061)
O (0.250, 0.868, 0.575)
O (0.558, 0.208, 0.665)
O (0.250, 0.463, 0.805)
O (0.750, 0.569, 0.531)
O (0.750, 0.132, 0.425)
O (0.058, 0.792, 0.335)
O (0.750, 0.537, 0.195)
B (0.750, 0.728, 0.081)
B (0.250, 0.272, 0.919)

Results
**Space group**: P2_1/m
**Uncorrected energy**: -161.66 eV for the cell shown
**Calculated volume**: 12.933 Å³/atom

***

Record 9
# Na2MnBSO7

A relaxed structure of Na2MnBSO7 (PBE with a Hubbard U, the Materials Project).

Cell lengths 7.065, 5.304, 9.033 Å; angles 87.97, 90.00, 90.00 degrees
Fractional positions:
O (0.750, 0.138, 0.430)
O (0.078, 0.794, 0.340)
O (0.750, 0.530, 0.189)
O (0.750, 0.701, 0.933)
O (0.250, 0.862, 0.570)
O (0.250, 0.470, 0.811)
O (0.250, 0.044, 0.847)
O (0.578, 0.206, 0.660)
O (0.750, 0.956, 0.153)
O (0.422, 0.794, 0.340)
O (0.250, 0.299, 0.067)
O (0.250, 0.447, 0.464)
O (0.922, 0.206, 0.660)
O (0.750, 0.553, 0.536)
Na (0.996, 0.238, 0.207)
Na (0.504, 0.238, 0.207)
Na (0.496, 0.762, 0.793)
Na (0.004, 0.762, 0.793)
B (0.750, 0.726, 0.077)
B (0.250, 0.274, 0.923)
S (0.750, 0.272, 0.573)
S (0.250, 0.728, 0.427)
Mn (0.750, 0.775, 0.344)
Mn (0.250, 0.225, 0.656)

Results
**Space group**: P2_1/m
**Uncorrected energy**: -154.57 eV for the cell shown
**Calculated volume**: 14.095 Å³/atom

***

Record 10
# Na6Mn2B4SO16

A relaxed structure of Na6Mn2B4SO16 (PBE with a Hubbard U, the Materials Project).

Cell lengths 9.834, 9.834, 9.834 Å; angles 60.00, 60.00, 60.00 degrees
Fractional positions:
O (0.492, 0.307, 0.985)
O (0.265, 0.943, 0.034)
O (0.943, 0.034, 0.265)
O (0.943, 0.758, 0.034)
O (0.936, 0.688, 0.688)
O (0.758, 0.943, 0.265)
O (0.265, 0.034, 0.758)
O (0.307, 0.492, 0.216)
O (0.562, 0.562, 0.562)
O (0.307, 0.216, 0.985)
O (0.492, 0.216, 0.307)
O (0.562, 0.562, 0.314)
O (0.034, 0.758, 0.265)
O (0.985, 0.492, 0.307)
O (0.307, 0.985, 0.492)
O (0.985, 0.307, 0.216)
O (0.985, 0.216, 0.492)
O (0.688, 0.936, 0.688)
O (0.758, 0.034, 0.943)
O (0.034, 0.265, 0.943)
O (0.492, 0.985, 0.216)
O (0.216, 0.492, 0.985)
O (0.562, 0.314, 0.562)
O (0.216, 0.307, 0.492)
O (0.265, 0.758, 0.943)
O (0.034, 0.943, 0.758)
O (0.688, 0.688, 0.936)
O (0.688, 0.688, 0.688)
O (0.943, 0.265, 0.758)
O (0.758, 0.265, 0.034)
O (0.216, 0.985, 0.307)
O (0.314, 0.562, 0.562)
Mn (0.125, 0.125, 0.625)
Mn (0.625, 0.125, 0.125)
Mn (0.125, 0.625, 0.125)
Mn (0.125, 0.125, 0.125)
Na (0.968, 0.532, 0.532)
Na (0.532, 0.968, 0.532)
Na (0.282, 0.718, 0.282)
Na (0.968, 0.968, 0.532)
Na (0.718, 0.282, 0.282)
Na (0.718, 0.282, 0.718)
Na (0.282, 0.282, 0.718)
Na (0.532, 0.968, 0.968)
Na (0.532, 0.532, 0.968)
Na (0.718, 0.718, 0.282)
Na (0.968, 0.532, 0.968)
Na (0.282, 0.718, 0.718)
B (0.914, 0.914, 0.258)
B (0.914, 0.258, 0.914)
B (0.992, 0.336, 0.336)
B (0.336, 0.336, 0.336)
B (0.914, 0.914, 0.914)
B (0.258, 0.914, 0.914)
B (0.336, 0.992, 0.336)
B (0.336, 0.336, 0.992)
S (0.500, 0.500, 0.500)
S (0.750, 0.750, 0.750)

Results
**Space group**: Fd-3
**Uncorrected energy**: -380.01 eV for the cell shown
**Calculated volume**: 11.596 Å³/atom

***

The evaluated calculated formation energy for the records listed, in turn: -2646.1, -1853.7, -2126.0, -2383.6, -2383.0, -2495.3, -2376.1, -2397.5, -2208.6, -2346.6 meV/atom.